Dy2H4S3O12: relaxed, PBE.

a b c (Å): 6.7904 6.7904 12.8834
angles (deg): 100.11 100.11 60.41
Atoms (fractional coordinates):
1 Dy 0.1889 0.2157 0.1741
2 Dy 0.2157 0.1889 0.6741
3 Dy 0.7843 0.8111 0.3259
4 Dy 0.8111 0.7843 0.8259
5 H 0.0553 0.8521 0.5830
6 H 0.1479 0.9447 0.9170
7 H 0.2858 0.6975 0.6469
8 H 0.3025 0.7142 0.8531
9 H 0.6975 0.2858 0.1469
10 H 0.7142 0.3025 0.3531
11 H 0.8521 0.0553 0.0830
12 H 0.9447 0.1479 0.4170
13 S 0.2533 0.3031 0.4222
14 S 0.3031 0.2533 0.9222
15 S 0.3293 0.6707 0.2500
16 S 0.6707 0.3293 0.7500
17 S 0.6969 0.7467 0.0778
18 S 0.7467 0.6969 0.5778
19 O 0.0369 0.4142 0.3405
20 O 0.1051 0.4058 0.8433
21 O 0.1544 0.8002 0.8819
22 O 0.1604 0.7486 0.3267
23 O 0.1826 0.1933 0.4931
24 O 0.1933 0.1826 0.9931
25 O 0.1998 0.8456 0.6181
26 O 0.2514 0.8396 0.1733
27 O 0.3686 0.4442 0.1920
28 O 0.4058 0.1051 0.3433
29 O 0.4142 0.0369 0.8405
30 O 0.4442 0.3686 0.6920
31 O 0.5558 0.6314 0.3080
32 O 0.5858 0.9631 0.1595
33 O 0.5942 0.8949 0.6567
34 O 0.6314 0.5558 0.8080
35 O 0.7486 0.1604 0.8267
36 O 0.8002 0.1544 0.3819
37 O 0.8067 0.8174 0.0069
38 O 0.8174 0.8067 0.5069
39 O 0.8396 0.2514 0.6733
40 O 0.8456 0.1998 0.1181
41 O 0.8949 0.5942 0.1567
42 O 0.9631 0.5858 0.6595

Results
calculated formation energy = -2.235 eV/atom
energy = -6.345 eV/atom
mass density = 4.053 Mg/m³

DyHSe: relaxed, PBE.

a b c (Å): 3.8443 3.8443 3.9069
angles (deg): 90.00 90.00 120.00
Atoms (fractional coordinates):
1 Dy 0.0000 0.0000 0.0000
2 H 0.3333 0.6667 0.0000
3 Se 0.6667 0.3333 0.5000

Results
calculated formation energy = -1.596 eV/atom
energy = -5.271 eV/atom
mass density = 8.052 Mg/m³

Dy2Hf2O7: relaxed, PBE.

a b c (Å): 7.4286 7.4286 7.4286
angles (deg): 60.00 60.00 60.00
Atoms (fractional coordinates):
1 Dy 0.0000 0.0000 0.0000
2 Dy 0.0000 0.0000 0.5000
3 Dy 0.0000 0.5000 0.0000
4 Dy 0.5000 0.0000 0.0000
5 Hf 0.0000 0.5000 0.5000
6 Hf 0.5000 0.0000 0.5000
7 Hf 0.5000 0.5000 0.0000
8 Hf 0.5000 0.5000 0.5000
9 O 0.1250 0.1250 0.1250
10 O 0.1620 0.1620 0.5880
11 O 0.1620 0.5880 0.1620
12 O 0.1620 0.5880 0.5880
13 O 0.4120 0.4120 0.8380
14 O 0.4120 0.8380 0.4120
15 O 0.4120 0.8380 0.8380
16 O 0.5880 0.1620 0.1620
17 O 0.5880 0.1620 0.5880
18 O 0.5880 0.5880 0.1620
19 O 0.8380 0.4120 0.4120
20 O 0.8380 0.4120 0.8380
21 O 0.8380 0.8380 0.4120
22 O 0.8750 0.8750 0.8750

Results
calculated formation energy = -4.015 eV/atom
energy = -9.374 eV/atom
mass density = 9.097 Mg/m³

DyHg2: relaxed, PBE.

a b c (Å): 4.9577 4.9577 3.4482
angles (deg): 90.00 90.00 120.00
Atoms (fractional coordinates):
1 Dy 0.0000 0.0000 0.0000
2 Hg 0.3333 0.6667 0.5000
3 Hg 0.6667 0.3333 0.5000

Results
calculated formation energy = -0.380 eV/atom
energy = -2.118 eV/atom
mass density = 12.753 Mg/m³